(1)
KGd2Cl7 | meta-GGA r2SCAN | optimized geometry

The structure in POSCAR format:
```
KGd2Cl7
1.0
6.984 0.000 0.000
0.000 12.757 0.000
-0.287 0.000 12.886
K Gd Cl
4 8 28
Direct
0.206 0.209 0.466 K
0.206 0.291 0.966 K
0.794 0.709 0.034 K
0.794 0.791 0.534 K
0.223 0.536 0.263 Gd
0.223 0.964 0.763 Gd
0.280 0.661 0.754 Gd
0.280 0.839 0.254 Gd
0.720 0.161 0.746 Gd
0.720 0.339 0.246 Gd
0.777 0.036 0.237 Gd
0.777 0.464 0.737 Gd
0.005 0.703 0.326 Cl
0.005 0.797 0.826 Cl
0.022 0.575 0.617 Cl
0.022 0.925 0.117 Cl
0.067 0.526 0.871 Cl
0.067 0.974 0.371 Cl
0.250 0.684 0.104 Cl
0.250 0.816 0.604 Cl
0.448 0.062 0.624 Cl
0.448 0.438 0.124 Cl
0.456 0.093 0.881 Cl
0.456 0.407 0.381 Cl
0.492 0.674 0.332 Cl
0.492 0.826 0.832 Cl
0.508 0.174 0.168 Cl
0.508 0.326 0.668 Cl
0.544 0.593 0.619 Cl
0.544 0.907 0.119 Cl
0.552 0.562 0.876 Cl
0.552 0.938 0.376 Cl
0.750 0.184 0.396 Cl
0.750 0.316 0.896 Cl
0.933 0.026 0.629 Cl
0.933 0.474 0.129 Cl
0.978 0.075 0.883 Cl
0.978 0.425 0.383 Cl
0.995 0.203 0.174 Cl
0.995 0.297 0.674 Cl
```

E_form ... -2.47 eV per atom
V ... 28.71 Å³ per atom
Symmetry ... P2_1/c (14)
Theoretical density ... 3.5 g/cm³
Energy ... -16.062 eV per atom



(2)
K3GdCl6 | meta-GGA r2SCAN | optimized geometry

The structure in POSCAR format:
```
K3GdCl6
1.0
13.096 0.000 0.000
0.000 7.793 0.000
-4.104 0.000 11.858
K Gd Cl
12 4 24
Direct
0.099 0.037 0.359 K
0.099 0.463 0.859 K
0.314 0.563 0.264 K
0.314 0.937 0.764 K
0.321 0.072 0.112 K
0.321 0.428 0.612 K
0.679 0.572 0.388 K
0.679 0.928 0.888 K
0.686 0.063 0.236 K
0.686 0.437 0.736 K
0.901 0.537 0.141 K
0.901 0.963 0.641 K
0.000 0.000 0.000 Gd
0.000 0.500 0.500 Gd
0.500 0.000 0.500 Gd
0.500 0.500 0.000 Gd
0.102 0.205 0.589 Cl
0.102 0.295 0.089 Cl
0.115 0.504 0.363 Cl
0.115 0.996 0.863 Cl
0.149 0.665 0.663 Cl
0.149 0.835 0.163 Cl
0.340 0.214 0.391 Cl
0.340 0.286 0.891 Cl
0.343 0.715 0.004 Cl
0.343 0.785 0.504 Cl
0.500 0.141 0.696 Cl
0.500 0.359 0.196 Cl
0.500 0.641 0.804 Cl
0.500 0.859 0.304 Cl
0.657 0.215 0.496 Cl
0.657 0.285 0.996 Cl
0.660 0.714 0.109 Cl
0.660 0.786 0.609 Cl
0.851 0.165 0.837 Cl
0.851 0.335 0.337 Cl
0.885 0.004 0.137 Cl
0.885 0.496 0.637 Cl
0.898 0.705 0.911 Cl
0.898 0.795 0.411 Cl
```

E_form ... -2.34 eV per atom
V ... 30.26 Å³ per atom
Symmetry ... P2_1/c (14)
Theoretical density ... 2.7 g/cm³
Energy ... -12.181 eV per atom



(3)
Gd3NCl6 | meta-GGA r2SCAN | optimized geometry

The structure in POSCAR format:
```
Gd3NCl6
1.0
7.126 0.000 0.000
3.411 7.436 0.000
3.185 1.237 9.172
Gd N Cl
6 2 12
Direct
0.089 0.088 0.185 Gd
0.218 0.431 0.277 Gd
0.240 0.417 0.875 Gd
0.760 0.583 0.125 Gd
0.782 0.569 0.723 Gd
0.911 0.912 0.815 Gd
0.092 0.369 0.121 N
0.908 0.631 0.879 N
0.030 0.179 0.896 Cl
0.198 0.418 0.591 Cl
0.212 0.106 0.410 Cl
0.324 0.720 0.296 Cl
0.335 0.739 0.711 Cl
0.500 0.000 0.000 Cl
0.500 0.500 0.000 Cl
0.665 0.261 0.289 Cl
0.676 0.280 0.704 Cl
0.788 0.894 0.590 Cl
0.802 0.582 0.409 Cl
0.970 0.821 0.104 Cl
```

E_form ... -2.43 eV per atom
V ... 24.30 Å³ per atom
Symmetry ... P-1 (2)
Theoretical density ... 4.8 g/cm³
Energy ... -20.050 eV per atom



(4)
Na2GdCl5 | meta-GGA r2SCAN | optimized geometry

The structure in POSCAR format:
```
Na2GdCl5
1.0
11.983 0.000 0.000
0.000 8.250 0.000
0.000 0.000 7.646
Na Gd Cl
8 4 20
Direct
0.176 0.000 0.026 Na
0.176 0.500 0.026 Na
0.324 0.000 0.526 Na
0.324 0.500 0.526 Na
0.676 0.000 0.474 Na
0.676 0.500 0.474 Na
0.824 0.000 0.974 Na
0.824 0.500 0.974 Na
0.005 0.250 0.583 Gd
0.495 0.750 0.083 Gd
0.505 0.250 0.917 Gd
0.995 0.750 0.417 Gd
0.004 0.250 0.943 Cl
0.090 0.544 0.664 Cl
0.090 0.956 0.664 Cl
0.180 0.250 0.356 Cl
0.214 0.750 0.321 Cl
0.286 0.250 0.821 Cl
0.320 0.750 0.856 Cl
0.410 0.044 0.164 Cl
0.410 0.456 0.164 Cl
0.496 0.750 0.443 Cl
0.504 0.250 0.557 Cl
0.590 0.544 0.836 Cl
0.590 0.956 0.836 Cl
0.680 0.250 0.144 Cl
0.714 0.750 0.179 Cl
0.786 0.250 0.679 Cl
0.820 0.750 0.644 Cl
0.910 0.044 0.336 Cl
0.910 0.456 0.336 Cl
0.996 0.750 0.057 Cl
```

E_form ... -2.27 eV per atom
V ... 23.62 Å³ per atom
Symmetry ... Pnma (62)
Theoretical density ... 3.3 g/cm³
Energy ... -12.427 eV per atom



(5)
Na3GdCl6 | meta-GGA r2SCAN | optimized geometry

The structure in POSCAR format:
```
Na3GdCl6
1.0
3.503 2.022 6.316
-3.503 2.022 6.316
0.000 -4.044 6.316
Na Gd Cl
3 1 6
Direct
0.000 0.000 0.000 Na
0.305 0.305 0.305 Na
0.695 0.695 0.695 Na
0.500 0.500 0.500 Gd
0.123 0.724 0.392 Cl
0.276 0.608 0.877 Cl
0.392 0.123 0.724 Cl
0.608 0.877 0.276 Cl
0.724 0.392 0.123 Cl
0.877 0.276 0.608 Cl
```

E_form ... -2.22 eV per atom
V ... 26.84 Å³ per atom
Symmetry ... R-3 (148)
Theoretical density ... 2.7 g/cm³
Energy ... -11.317 eV per atom



(6)
GdClO | meta-GGA r2SCAN | optimized geometry

The structure in POSCAR format:
```
GdClO
1.0
3.943 0.000 0.000
0.000 3.943 0.000
0.000 0.000 6.718
Gd Cl O
2 2 2
Direct
0.250 0.250 0.171 Gd
0.750 0.750 0.829 Gd
0.250 0.250 0.629 Cl
0.750 0.750 0.371 Cl
0.250 0.750 0.000 O
0.750 0.250 0.000 O
```

E_form ... -3.35 eV per atom
V ... 17.41 Å³ per atom
Symmetry ... P4/nmm (129)
Theoretical density ... 6.6 g/cm³
Energy ... -21.855 eV per atom



(7)
GdTiClO3 | meta-GGA r2SCAN | optimized geometry

The structure in POSCAR format:
```
GdTiClO3
1.0
4.882 -1.959 0.000
4.882 1.959 0.000
-2.885 0.000 9.575
Gd Ti Cl O
2 2 2 6
Direct
0.220 0.220 0.204 Gd
0.780 0.780 0.796 Gd
0.380 0.380 0.567 Ti
0.620 0.620 0.433 Ti
0.112 0.112 0.903 Cl
0.888 0.888 0.097 Cl
0.168 0.168 0.438 O
0.351 0.351 0.744 O
0.422 0.422 0.378 O
0.578 0.578 0.622 O
0.649 0.649 0.256 O
0.832 0.832 0.562 O
```

E_form ... -3.35 eV per atom
V ... 15.27 Å³ per atom
Symmetry ... C2/m (12)
Theoretical density ... 5.2 g/cm³
Energy ... -16.748 eV per atom



(8)
RbGd2Cl7 | meta-GGA r2SCAN | optimized geometry

The structure in POSCAR format:
```
RbGd2Cl7
1.0
13.101 0.000 0.000
0.000 7.024 0.000
0.000 0.000 12.796
Rb Gd Cl
4 8 28
Direct
0.041 0.250 0.195 Rb
0.459 0.750 0.695 Rb
0.541 0.250 0.305 Rb
0.959 0.750 0.805 Rb
0.236 0.250 0.540 Gd
0.248 0.250 0.843 Gd
0.252 0.750 0.343 Gd
0.264 0.750 0.040 Gd
0.736 0.250 0.960 Gd
0.748 0.250 0.657 Gd
0.752 0.750 0.157 Gd
0.764 0.750 0.460 Gd
0.105 0.750 0.188 Cl
0.119 0.011 0.421 Cl
0.119 0.489 0.421 Cl
0.129 0.009 0.961 Cl
0.129 0.491 0.961 Cl
0.174 0.006 0.693 Cl
0.174 0.494 0.693 Cl
0.326 0.506 0.193 Cl
0.326 0.994 0.193 Cl
0.371 0.509 0.461 Cl
0.371 0.991 0.461 Cl
0.381 0.511 0.921 Cl
0.381 0.989 0.921 Cl
0.395 0.250 0.688 Cl
0.605 0.750 0.312 Cl
0.619 0.011 0.079 Cl
0.619 0.489 0.079 Cl
0.629 0.009 0.539 Cl
0.629 0.491 0.539 Cl
0.674 0.006 0.807 Cl
0.674 0.494 0.807 Cl
0.826 0.506 0.307 Cl
0.826 0.994 0.307 Cl
0.871 0.509 0.039 Cl
0.871 0.991 0.039 Cl
0.881 0.511 0.579 Cl
0.881 0.989 0.579 Cl
0.895 0.250 0.812 Cl
```

E_form ... -2.49 eV per atom
V ... 29.44 Å³ per atom
Symmetry ... Pnma (62)
Theoretical density ... 3.7 g/cm³
Energy ... -16.869 eV per atom



(9)
Rb2GdCl5 | meta-GGA r2SCAN | optimized geometry

The structure in POSCAR format:
```
Rb2GdCl5
1.0
13.179 0.000 0.000
0.000 8.779 0.000
0.000 0.000 8.201
Rb Gd Cl
8 4 20
Direct
0.172 0.005 0.054 Rb
0.172 0.495 0.054 Rb
0.328 0.505 0.554 Rb
0.328 0.995 0.554 Rb
0.672 0.005 0.446 Rb
0.672 0.495 0.446 Rb
0.828 0.505 0.946 Rb
0.828 0.995 0.946 Rb
0.004 0.250 0.571 Gd
0.496 0.750 0.071 Gd
0.504 0.250 0.929 Gd
0.996 0.750 0.429 Gd
0.012 0.250 0.903 Cl
0.071 0.543 0.659 Cl
0.071 0.957 0.659 Cl
0.172 0.250 0.384 Cl
0.195 0.750 0.346 Cl
0.305 0.250 0.846 Cl
0.328 0.750 0.884 Cl
0.429 0.043 0.159 Cl
0.429 0.457 0.159 Cl
0.488 0.750 0.403 Cl
0.512 0.250 0.597 Cl
0.571 0.543 0.841 Cl
0.571 0.957 0.841 Cl
0.672 0.250 0.116 Cl
0.695 0.750 0.154 Cl
0.805 0.250 0.654 Cl
0.828 0.750 0.616 Cl
0.929 0.043 0.341 Cl
0.929 0.457 0.341 Cl
0.988 0.750 0.097 Cl
```

E_form ... -2.41 eV per atom
V ... 29.65 Å³ per atom
Symmetry ... Pnma (62)
Theoretical density ... 3.5 g/cm³
Energy ... -15.161 eV per atom



(10)
Gd2SCl4 | meta-GGA r2SCAN | optimized geometry

The structure in POSCAR format:
```
Gd2SCl4
1.0
7.605 -3.188 0.000
7.605 3.188 0.000
-0.964 0.000 6.886
Gd S Cl
4 2 8
Direct
0.099 0.686 0.922 Gd
0.314 0.901 0.578 Gd
0.686 0.099 0.422 Gd
0.901 0.314 0.078 Gd
0.065 0.935 0.250 S
0.935 0.065 0.750 S
0.138 0.301 0.819 Cl
0.301 0.138 0.319 Cl
0.308 0.513 0.577 Cl
0.487 0.692 0.923 Cl
0.513 0.308 0.077 Cl
0.692 0.487 0.423 Cl
0.699 0.862 0.681 Cl
0.862 0.699 0.181 Cl
```

E_form ... -2.47 eV per atom
V ... 23.85 Å³ per atom
Symmetry ... C2/c (15)
Theoretical density ... 4.9 g/cm³
Energy ... -19.536 eV per atom



(11)
GeCl4 | meta-GGA r2SCAN | optimized geometry

The structure in POSCAR format:
```
GeCl4
1.0
9.872 0.000 0.000
0.000 6.558 0.000
-2.298 0.000 9.712
Ge Cl
4 16
Direct
0.248 0.075 0.358 Ge
0.248 0.425 0.858 Ge
0.752 0.575 0.142 Ge
0.752 0.925 0.642 Ge
0.072 0.071 0.190 Cl
0.072 0.429 0.690 Cl
0.198 0.576 0.028 Cl
0.198 0.924 0.528 Cl
0.305 0.120 0.913 Cl
0.305 0.380 0.413 Cl
0.415 0.577 0.801 Cl
0.415 0.923 0.301 Cl
0.585 0.077 0.699 Cl
0.585 0.423 0.199 Cl
0.695 0.620 0.587 Cl
0.695 0.880 0.087 Cl
0.802 0.076 0.472 Cl
0.802 0.424 0.972 Cl
0.928 0.571 0.310 Cl
0.928 0.929 0.810 Cl
```

E_form ... -1.00 eV per atom
V ... 31.44 Å³ per atom
Symmetry ... P2_1/c (14)
Theoretical density ... 2.3 g/cm³
Energy ... -8.700 eV per atom



(12)
GeH3Cl | meta-GGA r2SCAN | optimized geometry

The structure in POSCAR format:
```
GeH3Cl
1.0
3.634 -2.797 0.000
3.634 2.797 0.000
0.000 0.000 8.357
Ge H Cl
2 6 2
Direct
0.059 0.941 0.500 Ge
0.941 0.059 0.000 Ge
0.060 0.290 0.091 H
0.183 0.817 0.918 H
0.290 0.060 0.591 H
0.710 0.940 0.091 H
0.817 0.183 0.418 H
0.940 0.710 0.591 H
0.318 0.682 0.301 Cl
0.682 0.318 0.801 Cl
```

E_form ... -0.20 eV per atom
V ... 16.99 Å³ per atom
Symmetry ... Cmc2_1 (36)
Theoretical density ... 2.2 g/cm³
Energy ... -6.283 eV per atom